1.
The following is a PBE+U calculation of a relaxed K5HfInMo6O24 crystal, from the Materials Project database.

Summary:
calculated formation energy = -84.1 eV/f.u.

Cell: 14.260 14.260 14.260 Å, 44.45 44.45 44.45°
Fractional coordinates of all 74 atoms:
K1 0.000 0.000 0.000
K2 0.103 0.718 0.490
K3 0.206 0.206 0.206
K4 0.216 0.603 0.989
K5 0.490 0.103 0.718
K6 0.499 0.499 0.499
K7 0.603 0.989 0.216
K8 0.707 0.707 0.707
K9 0.718 0.490 0.103
K10 0.989 0.216 0.603
Hf1 0.354 0.354 0.354
Hf2 0.602 0.602 0.602
In1 0.104 0.104 0.104
In2 0.853 0.853 0.853
Mo1 0.092 0.330 0.735
Mo2 0.116 0.471 0.876
Mo3 0.236 0.830 0.591
Mo4 0.330 0.735 0.092
Mo5 0.377 0.971 0.614
Mo6 0.471 0.876 0.116
Mo7 0.591 0.236 0.830
Mo8 0.614 0.377 0.971
Mo9 0.735 0.092 0.330
Mo10 0.830 0.591 0.236
Mo11 0.876 0.116 0.471
Mo12 0.971 0.614 0.377
O1 0.006 0.283 0.736
O2 0.032 0.051 0.324
O3 0.051 0.324 0.032
O4 0.059 0.858 0.747
O5 0.154 0.175 0.883
O6 0.154 0.458 0.349
O7 0.175 0.883 0.154
O8 0.200 0.471 0.924
O9 0.212 0.948 0.741
O10 0.236 0.783 0.507
O11 0.242 0.447 0.710
O12 0.250 0.357 0.551
O13 0.259 0.996 0.466
O14 0.283 0.736 0.006
O15 0.324 0.032 0.051
O16 0.349 0.154 0.458
O17 0.357 0.551 0.250
O18 0.391 0.674 0.651
O19 0.424 0.970 0.699
O20 0.447 0.710 0.242
O21 0.458 0.349 0.154
O22 0.466 0.259 0.996
O23 0.471 0.924 0.200
O24 0.495 0.759 0.964
O25 0.507 0.236 0.783
O26 0.532 0.817 0.556
O27 0.551 0.250 0.357
O28 0.556 0.532 0.817
O29 0.648 0.849 0.959
O30 0.651 0.391 0.674
O31 0.674 0.651 0.391
O32 0.699 0.424 0.970
O33 0.710 0.242 0.447
O34 0.736 0.006 0.283
O35 0.741 0.212 0.948
O36 0.747 0.059 0.858
O37 0.759 0.964 0.495
O38 0.783 0.507 0.236
O39 0.817 0.556 0.532
O40 0.849 0.959 0.648
O41 0.858 0.747 0.059
O42 0.883 0.154 0.175
O43 0.924 0.200 0.471
O44 0.948 0.741 0.212
O45 0.959 0.648 0.849
O46 0.964 0.495 0.759
O47 0.970 0.699 0.424
O48 0.996 0.466 0.259

---

2.
The following is a PBE+U calculation of a relaxed Ca2TaFeO6 crystal, from the Materials Project database.

Summary:
calculated formation energy = -30.4 eV/f.u.

Cell: 5.480 7.812 5.655 Å, 90.00 90.34 90.00°
Fractional coordinates of all 20 atoms:
Ca1 0.009 0.250 0.042
Ca2 0.488 0.250 0.565
Ca3 0.512 0.750 0.435
Ca4 0.991 0.750 0.958
Ta1 0.000 0.000 0.500
Ta2 0.000 0.500 0.500
Fe1 0.500 0.000 0.000
Fe2 0.500 0.500 0.000
O1 0.092 0.750 0.529
O2 0.196 0.049 0.789
O3 0.196 0.451 0.789
O4 0.291 0.046 0.303
O5 0.291 0.454 0.303
O6 0.409 0.750 0.028
O7 0.591 0.250 0.972
O8 0.709 0.546 0.697
O9 0.709 0.954 0.697
O10 0.804 0.549 0.211
O11 0.804 0.951 0.211
O12 0.908 0.250 0.471

---

3.
The following is a PBE+U calculation of a relaxed Y2MgMo2Cl2O8 crystal, from the Materials Project database.

Summary:
offset from the most stable computed form = 0.0 meV/atom
calculated formation energy = -38.5 eV/f.u.

Cell: 6.717 6.717 7.178 Å, 103.53 103.53 60.21°
Fractional coordinates of all 15 atoms:
Y1 0.217 0.217 0.373
Y2 0.783 0.783 0.627
Mg1 0.723 0.277 0.500
Mo1 0.156 0.134 0.791
Mo2 0.866 0.844 0.209
Cl1 0.411 0.458 0.700
Cl2 0.542 0.589 0.300
O1 0.011 0.609 0.362
O2 0.184 0.206 0.049
O3 0.391 0.989 0.638
O4 0.607 0.039 0.357
O5 0.794 0.816 0.951
O6 0.936 0.023 0.695
O7 0.961 0.393 0.643
O8 0.977 0.064 0.305

---

4.
The following is a PBE+U calculation of a relaxed FeRe3O15 crystal, from the Materials Project database.

Summary:
calculated formation energy = -26.3 eV/f.u.

Cell: 8.088 8.297 11.734 Å, 85.05 84.31 64.54°
Fractional coordinates of all 38 atoms:
Fe1 0.205 0.102 0.252
Fe2 0.795 0.898 0.748
Re1 0.274 0.736 0.075
Re2 0.282 0.173 0.762
Re3 0.345 0.376 0.404
Re4 0.655 0.624 0.596
Re5 0.718 0.827 0.238
Re6 0.726 0.264 0.925
O1 0.063 0.793 0.711
O2 0.137 0.988 0.384
O3 0.174 0.100 0.671
O4 0.174 0.933 0.159
O5 0.196 0.151 0.903
O6 0.199 0.786 0.937
O7 0.204 0.582 0.457
O8 0.206 0.274 0.354
O9 0.212 0.570 0.141
O10 0.213 0.241 0.125
O11 0.221 0.399 0.728
O12 0.474 0.958 0.253
O13 0.480 0.240 0.512
O14 0.490 0.343 0.934
O15 0.491 0.403 0.293
O16 0.509 0.597 0.707
O17 0.510 0.657 0.066
O18 0.520 0.760 0.488
O19 0.526 0.042 0.747
O20 0.779 0.601 0.272
O21 0.787 0.759 0.875
O22 0.788 0.430 0.859
O23 0.794 0.726 0.646
O24 0.796 0.418 0.543
O25 0.801 0.214 0.063
O26 0.804 0.849 0.097
O27 0.826 0.067 0.841
O28 0.826 0.900 0.329
O29 0.863 0.012 0.616
O30 0.937 0.207 0.289

---

5.
The following is a PBE+U calculation of a relaxed Ni3P2H16O16 crystal, from the Materials Project database.

Summary:
calculated formation energy = -58.0 eV/f.u.

Cell: 8.272 8.272 4.652 Å, 98.96 98.96 105.49°
Fractional coordinates of all 37 atoms:
Ni1 0.000 0.000 0.000
Ni2 0.389 0.611 0.000
Ni3 0.611 0.389 0.000
P1 0.313 0.313 0.386
P2 0.687 0.687 0.614
H1 0.040 0.204 0.637
H2 0.055 0.315 0.957
H3 0.174 0.738 0.730
H4 0.176 0.565 0.520
H5 0.204 0.040 0.637
H6 0.262 0.826 0.270
H7 0.315 0.055 0.957
H8 0.435 0.824 0.480
H9 0.565 0.176 0.520
H10 0.685 0.945 0.043
H11 0.738 0.174 0.730
H12 0.796 0.960 0.363
H13 0.824 0.435 0.480
H14 0.826 0.262 0.270
H15 0.945 0.685 0.043
H16 0.960 0.796 0.363
O1 0.022 0.788 0.192
O2 0.156 0.156 0.387
O3 0.171 0.618 0.725
O4 0.212 0.978 0.808
O5 0.241 0.440 0.230
O6 0.382 0.829 0.275
O7 0.397 0.397 0.717
O8 0.440 0.241 0.230
O9 0.560 0.759 0.770
O10 0.603 0.603 0.283
O11 0.618 0.171 0.725
O12 0.759 0.560 0.770
O13 0.788 0.022 0.192
O14 0.829 0.382 0.275
O15 0.844 0.844 0.613
O16 0.978 0.212 0.808

---

6.
The following is a PBE+U calculation of a relaxed Li6V3P8O29 crystal, from the Materials Project database.

Summary:
offset from the most stable computed form = 3.4 meV/atom
calculated formation energy = -122.3 eV/f.u.

Cell: 9.808 9.830 13.882 Å, 90.28 90.01 119.92°
Fractional coordinates of all 92 atoms:
Li1 0.000 0.000 0.000
Li2 0.002 0.136 0.494
Li3 0.017 0.572 0.055
Li4 0.351 0.244 0.822
Li5 0.357 0.679 0.372
Li6 0.370 0.819 0.879
Li7 0.454 0.002 0.495
Li8 0.587 0.586 0.494
Li9 0.770 0.682 0.877
Li10 0.777 0.233 0.373
Li11 0.904 0.222 0.880
Li12 0.910 0.812 0.373
V1 0.115 0.907 0.188
V2 0.116 0.344 0.687
V3 0.252 0.908 0.685
V4 0.253 0.476 0.183
V5 0.677 0.338 0.182
V6 0.682 0.476 0.685
P1 0.002 0.998 0.780
P2 0.003 0.142 0.278
P3 0.014 0.573 0.310
P4 0.017 0.577 0.811
P5 0.345 0.240 0.063
P6 0.347 0.241 0.563
P7 0.362 0.817 0.092
P8 0.363 0.674 0.593
P9 0.452 0.995 0.277
P10 0.453 0.592 0.778
P11 0.595 0.139 0.779
P12 0.595 0.589 0.278
P13 0.767 0.225 0.593
P14 0.771 0.678 0.094
P15 0.910 0.227 0.094
P16 0.914 0.821 0.595
O1 0.009 0.722 0.270
O2 0.014 0.161 0.781
O3 0.015 0.423 0.769
O4 0.015 0.575 0.417
O5 0.017 0.572 0.919
O6 0.017 0.993 0.279
O7 0.056 0.393 0.110
O8 0.065 0.813 0.615
O9 0.160 0.292 0.261
O10 0.167 0.578 0.269
O11 0.168 0.021 0.762
O12 0.170 0.722 0.772
O13 0.195 0.090 0.101
O14 0.195 0.238 0.606
O15 0.196 0.797 0.111
O16 0.202 0.528 0.611
O17 0.300 0.003 0.259
O18 0.309 0.424 0.763
O19 0.341 0.651 0.098
O20 0.342 0.239 0.455
O21 0.345 0.240 0.955
O22 0.347 0.388 0.106
O23 0.350 0.825 0.595
O24 0.355 0.094 0.603
O25 0.426 0.990 0.777
O26 0.432 0.575 0.278
O27 0.436 0.903 0.002
O28 0.436 0.905 0.368
O29 0.439 0.663 0.501
O30 0.444 0.677 0.864
O31 0.472 0.908 0.185
O32 0.476 0.694 0.682
O33 0.495 0.395 0.602
O34 0.496 0.243 0.106
O35 0.570 0.282 0.763
O36 0.587 0.431 0.262
O37 0.597 0.160 0.278
O38 0.602 0.572 0.776
O39 0.674 0.115 0.682
O40 0.679 0.152 0.501
O41 0.684 0.698 0.186
O42 0.685 0.669 0.369
O43 0.689 0.147 0.864
O44 0.689 0.668 0.002
O45 0.765 0.244 0.095
O46 0.766 0.656 0.594
O47 0.776 0.384 0.615
O48 0.796 0.534 0.111
O49 0.865 0.421 0.268
O50 0.870 0.580 0.771
O51 0.892 0.909 0.687
O52 0.893 0.118 0.186
O53 0.922 0.151 0.368
O54 0.925 0.906 0.869
O55 0.927 0.910 0.504
O56 0.928 0.150 0.005
O57 0.932 0.243 0.594
O58 0.938 0.828 0.098

---

7.
The following is a PBE+U calculation of a relaxed Na2FeNiF7 crystal, from the Materials Project database.

Summary:
calculated formation energy = -29.8 eV/f.u.

Cell: 7.397 7.397 7.397 Å, 120.92 90.42 118.60°
Fractional coordinates of all 22 atoms:
Na1 0.000 0.000 0.000
Na2 0.500 0.000 0.000
Na3 0.500 0.000 0.500
Na4 0.500 0.500 0.500
Fe1 0.000 0.500 0.500
Fe2 0.500 0.500 0.000
Ni1 0.000 0.000 0.500
Ni2 0.000 0.500 0.000
F1 0.053 0.237 0.416
F2 0.053 0.637 0.816
F3 0.103 0.853 0.250
F4 0.321 0.237 0.684
F5 0.321 0.637 0.084
F6 0.321 0.730 0.591
F7 0.361 0.270 0.091
F8 0.639 0.730 0.909
F9 0.679 0.270 0.409
F10 0.679 0.363 0.916
F11 0.679 0.763 0.316
F12 0.897 0.147 0.750
F13 0.947 0.363 0.184
F14 0.947 0.763 0.584

---

8.
The following is a PBE+U calculation of a relaxed Li2Fe3P4O14 crystal, from the Materials Project database.

Summary:
offset from the most stable computed form = 32.7 meV/atom
calculated formation energy = -56.2 eV/f.u.

Cell: 5.612 6.914 7.421 Å, 75.21 81.98 68.00°
Fractional coordinates of all 23 atoms:
Li1 0.128 0.014 0.189
Li2 0.872 0.986 0.811
Fe1 0.310 0.482 0.190
Fe2 0.500 0.000 0.500
Fe3 0.690 0.518 0.810
P1 0.151 0.683 0.570
P2 0.301 0.260 0.847
P3 0.699 0.740 0.153
P4 0.849 0.317 0.430
O1 0.048 0.248 0.948
O2 0.133 0.227 0.357
O3 0.180 0.711 0.358
O4 0.239 0.430 0.646
O5 0.327 0.767 0.646
O6 0.435 0.352 0.956
O7 0.480 0.060 0.782
O8 0.520 0.940 0.218
O9 0.565 0.648 0.044
O10 0.673 0.233 0.354
O11 0.761 0.570 0.354
O12 0.820 0.289 0.642
O13 0.867 0.773 0.643
O14 0.952 0.752 0.052